A plane-wave DFT calculation with PBE was carried out for a relaxed LuCd2 crystal.

CIF file:
```
data_LuCd2
_chemical_formula_sum 'Lu1 Cd2'
_cell_length_a 4.9455
_cell_length_b 4.9455
_cell_length_c 3.3718
_cell_angle_alpha 90.00
_cell_angle_beta 90.00
_cell_angle_gamma 120.00
_symmetry_space_group_name_H-M 'P 6/m m m'
_symmetry_Int_Tables_number 191
_symmetry_space_group_name_Hall '-P 6 2'
loop_
_atom_site_label
_atom_site_type_symbol
_atom_site_fract_x
_atom_site_fract_y
_atom_site_fract_z
Lu1 Lu 0.0000 0.0000 0.0000
Cd1 Cd 0.3333 0.6667 0.5000
```

Summary:
VASP energy, eV/cell: -7.16
Energy of formation, eV per atom: -0.263